Below is Al2AgCl5O after structural relaxation, with properties calculated at the PBE level.

Unit cell a=11.545 b=12.588 c=13.319 alpha=90.00 beta=90.00 gamma=90.00
Element x y z (fractional)
Cl: 0.867 0.983 0.926
Cl: 0.946 0.793 0.616
Ag: 0.482 0.849 0.692
Cl: 0.325 0.470 0.781
Cl: 0.114 0.810 0.393
Cl: 0.446 0.707 0.384
Cl: 0.675 0.530 0.219
O: 0.912 0.989 0.447
Al: 0.015 0.895 0.502
Al: 0.206 0.459 0.135
Al: 0.794 0.959 0.365
Cl: 0.054 0.293 0.884
Cl: 0.212 0.288 0.143
Cl: 0.614 0.690 0.607
Cl: 0.133 0.483 0.574
Cl: 0.788 0.788 0.357
Cl: 0.825 0.030 0.219
Al: 0.294 0.959 0.135
Cl: 0.554 0.293 0.616
Cl: 0.325 0.030 0.281
Ag: 0.518 0.349 0.808
Al: 0.515 0.895 0.998
Cl: 0.133 0.017 0.074
Ag: 0.018 0.349 0.692
Ag: 0.518 0.151 0.308
Cl: 0.886 0.310 0.107
Cl: 0.712 0.288 0.357
Ag: 0.982 0.651 0.308
Cl: 0.114 0.690 0.893
Cl: 0.825 0.470 0.719
Ag: 0.018 0.151 0.192
Cl: 0.554 0.207 0.116
Cl: 0.054 0.207 0.384
Al: 0.985 0.105 0.498
Al: 0.485 0.395 0.502
O: 0.088 0.489 0.053
Al: 0.706 0.041 0.865
Cl: 0.633 0.017 0.426
Cl: 0.633 0.483 0.926
Cl: 0.867 0.517 0.426
O: 0.412 0.989 0.053
Cl: 0.675 0.970 0.719
Cl: 0.386 0.310 0.393
Cl: 0.367 0.517 0.074
Ag: 0.982 0.849 0.808
Cl: 0.212 0.212 0.643
Cl: 0.367 0.983 0.574
Cl: 0.788 0.712 0.857
Cl: 0.614 0.810 0.107
O: 0.588 0.011 0.947
O: 0.412 0.511 0.553
Al: 0.794 0.541 0.865
Al: 0.985 0.395 0.998
Al: 0.015 0.605 0.002
Ag: 0.482 0.651 0.192
Al: 0.294 0.541 0.635
Al: 0.206 0.041 0.635
Cl: 0.175 0.530 0.281
Al: 0.515 0.605 0.498
O: 0.588 0.489 0.447
Cl: 0.946 0.707 0.116
Cl: 0.886 0.190 0.607
Cl: 0.386 0.190 0.893
Cl: 0.446 0.793 0.884
Al: 0.485 0.105 0.002
Cl: 0.288 0.788 0.143
O: 0.088 0.011 0.553
O: 0.912 0.511 0.947
Cl: 0.175 0.970 0.781
Cl: 0.712 0.212 0.857
Cl: 0.288 0.712 0.643
Al: 0.706 0.459 0.365

- Formation energy: -1.665 eV/atom
- Magnetic moment: 0.0 Bohr magnetons per cell